{"formula": "Te2MoWSeS", "functional": "PBE-GGA", "state": "relaxed", "e_above_lowest_polymorph_mev_per_atom": 21, "m_tot_mub_per_cell": 0.0, "delta_e_f_kj_per_mol_atoms": -46.9, "cell": [[3.3947, 0.0000, 0.0000], [-1.6974, 2.9399, 0.0000], [0.0000, 0.0000, 38.7236]], "species": ["Te", "Te", "Te", "Te", "Mo", "Mo", "W", "W", "Se", "Se", "S", "S"], "fractional_positions": [[0.0000, 0.0000, 0.0000], [0.0000, 0.0000, 0.0967], [0.0000, 0.0000, 0.3754], [0.0000, 0.0000, 0.4728], [0.0000, 0.0000, 0.8605], [0.3333, 0.6667, 0.0484], [0.0000, 0.0000, 0.2362], [0.3333, 0.6667, 0.4241], [0.3333, 0.6667, 0.8179], [0.3333, 0.6667, 0.9031], [0.3333, 0.6667, 0.1973], [0.3333, 0.6667, 0.2751]]}


{"formula": "Te2Mo3WSe4S2", "functional": "PBE-GGA", "state": "relaxed", "e_above_lowest_polymorph_mev_per_atom": 0, "m_tot_mub_per_cell": 0.0, "delta_e_f_kj_per_mol_atoms": -62.9, "cell": [[3.3427, 0.0000, 0.0000], [-1.6713, 2.8948, 0.0000], [0.0000, 0.0000, 38.0588]], "species": ["Te", "Te", "Mo", "Mo", "Mo", "W", "Se", "Se", "Se", "Se", "S", "S"], "fractional_positions": [[0.0000, 0.0000, 0.0000], [0.0000, 0.0000, 0.0997], [0.0000, 0.0000, 0.2378], [0.6667, 0.3333, 0.0498], [0.6667, 0.3333, 0.4257], [0.0000, 0.0000, 0.6135], [0.0000, 0.0000, 0.3818], [0.0000, 0.0000, 0.4695], [0.6667, 0.3333, 0.1940], [0.6667, 0.3333, 0.2816], [0.6667, 0.3333, 0.5736], [0.6667, 0.3333, 0.6535]]}


{"formula": "Te2MoW3Se2S4", "functional": "PBE-GGA", "state": "relaxed", "e_above_lowest_polymorph_mev_per_atom": 0, "m_tot_mub_per_cell": 0.0, "delta_e_f_kj_per_mol_atoms": -70.6, "cell": [[3.3063, 0.0000, 0.0000], [-1.6531, 2.8633, 0.0000], [0.0000, 0.0000, 42.7353]], "species": ["Te", "Te", "Mo", "W", "W", "W", "Se", "Se", "S", "S", "S", "S"], "fractional_positions": [[0.0000, 0.0000, 0.0000], [0.0000, 0.0000, 0.0896], [0.3333, 0.6667, 0.0448], [0.0000, 0.0000, 0.2373], [0.0000, 0.0000, 0.8573], [0.3333, 0.6667, 0.4230], [0.3333, 0.6667, 0.1978], [0.3333, 0.6667, 0.2768], [0.0000, 0.0000, 0.3871], [0.0000, 0.0000, 0.4589], [0.3333, 0.6667, 0.8214], [0.3333, 0.6667, 0.8932]]}


{"formula": "Te2MoW3Se2S4", "functional": "PBE-GGA", "state": "relaxed", "e_above_lowest_polymorph_mev_per_atom": 37, "m_tot_mub_per_cell": 0.0, "delta_e_f_kj_per_mol_atoms": -67.0, "cell": [[3.3087, 0.0000, 0.0000], [-1.6543, 2.8654, 0.0000], [0.0000, 0.0000, 40.3619]], "species": ["Te", "Te", "Mo", "W", "W", "W", "Se", "Se", "S", "S", "S", "S"], "fractional_positions": [[0.0000, 0.0000, 0.0000], [0.0000, 0.0000, 0.0953], [0.6667, 0.3333, 0.6707], [0.0000, 0.0000, 0.2354], [0.0000, 0.0000, 0.8569], [0.6667, 0.3333, 0.0476], [0.6667, 0.3333, 0.8151], [0.6667, 0.3333, 0.8987], [0.0000, 0.0000, 0.6328], [0.0000, 0.0000, 0.7085], [0.6667, 0.3333, 0.1974], [0.6667, 0.3333, 0.2734]]}


{"formula": "Te2MoWSeS", "functional": "PBE-GGA", "state": "relaxed", "e_above_lowest_polymorph_mev_per_atom": 35, "m_tot_mub_per_cell": 0.0, "delta_e_f_kj_per_mol_atoms": -45.5, "cell": [[3.3976, 0.0000, 0.0000], [-1.6988, 2.9424, 0.0000], [0.0000, 0.0000, 40.4484]], "species": ["Te", "Te", "Te", "Te", "Mo", "Mo", "W", "W", "Se", "Se", "S", "S"], "fractional_positions": [[0.0000, 0.0000, 0.0000], [0.0000, 0.0000, 0.0932], [0.3333, 0.6667, 0.8085], [0.3333, 0.6667, 0.9012], [0.0000, 0.0000, 0.8548], [0.3333, 0.6667, 0.6687], [0.0000, 0.0000, 0.4810], [0.3333, 0.6667, 0.0466], [0.3333, 0.6667, 0.4400], [0.3333, 0.6667, 0.5219], [0.0000, 0.0000, 0.6316], [0.0000, 0.0000, 0.7059]]}


{"formula": "TeMoWSe2S", "functional": "PBE-GGA", "state": "relaxed", "e_above_lowest_polymorph_mev_per_atom": 1, "m_tot_mub_per_cell": 0.0, "delta_e_f_kj_per_mol_atoms": -60.1, "cell": [[3.3412, 0.0000, 0.0000], [-1.6706, 2.8936, 0.0000], [0.0000, 0.0000, 38.0724]], "species": ["Te", "Te", "Mo", "Mo", "W", "W", "Se", "Se", "Se", "Se", "S", "S"], "fractional_positions": [[0.0000, 0.0000, 0.0000], [0.0000, 0.0000, 0.0996], [0.0000, 0.0000, 0.8619], [0.3333, 0.6667, 0.0498], [0.0000, 0.0000, 0.2377], [0.3333, 0.6667, 0.4255], [0.0000, 0.0000, 0.3815], [0.0000, 0.0000, 0.4695], [0.3333, 0.6667, 0.8181], [0.3333, 0.6667, 0.9057], [0.3333, 0.6667, 0.1977], [0.3333, 0.6667, 0.2777]]}


{"formula": "Te2MoW3Se4S2", "functional": "PBE-GGA", "state": "relaxed", "e_above_lowest_polymorph_mev_per_atom": 0, "m_tot_mub_per_cell": 0.0, "delta_e_f_kj_per_mol_atoms": -57.4, "cell": [[3.3396, 0.0000, 0.0000], [-1.6698, 2.8922, 0.0000], [0.0000, 0.0000, 39.6332]], "species": ["Te", "Te", "Mo", "W", "W", "W", "Se", "Se", "Se", "Se", "S", "S"], "fractional_positions": [[0.0000, 0.0000, 0.0000], [0.0000, 0.0000, 0.0958], [0.6667, 0.3333, 0.0479], [0.0000, 0.0000, 0.2364], [0.0000, 0.0000, 0.8595], [0.6667, 0.3333, 0.6722], [0.6667, 0.3333, 0.1941], [0.6667, 0.3333, 0.2787], [0.6667, 0.3333, 0.8171], [0.6667, 0.3333, 0.9017], [0.0000, 0.0000, 0.6337], [0.0000, 0.0000, 0.7106]]}


{"formula": "Te2MoW3Se4S2", "functional": "PBE-GGA", "state": "relaxed", "e_above_lowest_polymorph_mev_per_atom": 22, "m_tot_mub_per_cell": 0.0, "delta_e_f_kj_per_mol_atoms": -55.3, "cell": [[3.3432, 0.0000, 0.0000], [-1.6716, 2.8953, 0.0000], [0.0000, 0.0000, 38.1601]], "species": ["Te", "Te", "Mo", "W", "W", "W", "Se", "Se", "Se", "Se", "S", "S"], "fractional_positions": [[0.0000, 0.0000, 0.0000], [0.0000, 0.0000, 0.1000], [0.0000, 0.0000, 0.2379], [0.0000, 0.0000, 0.8621], [0.3333, 0.6667, 0.0500], [0.3333, 0.6667, 0.4258], [0.0000, 0.0000, 0.3818], [0.0000, 0.0000, 0.4697], [0.3333, 0.6667, 0.1942], [0.3333, 0.6667, 0.2817], [0.3333, 0.6667, 0.8223], [0.3333, 0.6667, 0.9020]]}